Entry 1:
Crystalline Sb at its relaxed geometry, computed with PBE-GGA.

Computed properties:
final energy: -4.008 eV per atom
energy of formation from the pure elements: 0.121 eV per atom
excess energy over the best structure of this formula in the dataset: 2.79 kcal/mol of atoms
symmetry: P2_1/m (11)

a b c (Å): 4.528 4.421 6.500
angles (deg): 90.00 101.72 90.00
Fractional coordinates of all 4 atoms:
Sb  0.063  0.250  0.237
Sb  0.340  0.250  0.684
Sb  0.660  0.750  0.316
Sb  0.937  0.750  0.763

---

Entry 2:
Crystalline Th3S at its relaxed geometry, computed with PBE-GGA.

Computed properties:
final energy: -6.767 eV per atom
energy of formation from the pure elements: -0.299 eV per atom
excess energy over the best structure of this formula in the dataset: 0.31 kcal/mol of atoms
symmetry: I4/mmm (139)

a b c (Å): 5.969 5.969 5.969
angles (deg): 133.96 133.96 67.15
Fractional coordinates of all 4 atoms:
Th  0.000  0.000  0.000
Th  0.250  0.750  0.500
Th  0.750  0.250  0.500
S  0.500  0.500  0.000

---

Entry 3:
Crystalline Li2GeAu at its relaxed geometry, computed with PBE-GGA.

Computed properties:
final energy: -3.414 eV per atom
energy of formation from the pure elements: -0.485 eV per atom
symmetry: F-43m (216)

a b c (Å): 4.422 4.422 4.422
angles (deg): 60.00 60.00 60.00
Fractional coordinates of all 4 atoms:
Li  0.000  0.000  0.000
Li  0.250  0.250  0.250
Ge  0.750  0.750  0.750
Au  0.500  0.500  0.500

---

Entry 4:
Crystalline La2Ni3 at its relaxed geometry, computed with PBE-GGA.

Computed properties:
final energy: -5.770 eV per atom
energy of formation from the pure elements: -0.327 eV per atom
symmetry: Cmce (64)

a b c (Å): 5.443 5.443 7.903
angles (deg): 90.00 90.00 124.94
Fractional coordinates of all 10 atoms:
La  0.154  0.846  0.905
La  0.346  0.654  0.405
La  0.654  0.346  0.595
La  0.846  0.154  0.095
Ni  0.000  0.000  0.500
Ni  0.158  0.342  0.750
Ni  0.342  0.158  0.250
Ni  0.500  0.500  0.000
Ni  0.658  0.842  0.750
Ni  0.842  0.658  0.250